No. 1
Compound: Ho3Er9Mn2Bi4
Source: the Materials Project
Functional: GGA-PBE
Structure: relaxed

Calculated values
- total energy (Ry/atom) = -0.3916

Cell: 8.229 4.274 14.241 Å, 90.00 90.01 90.00°
Space group Pm (No. 6)
Symmetry-distinct sites (fractional):
Ho: 0.000 0.000 0.000 (multiplicity 1)
Ho: 0.150 0.000 0.384 (multiplicity 1)
Ho: 0.500 0.000 0.500 (multiplicity 1)
Er: 0.150 0.000 0.616 (multiplicity 1)
Er: 0.375 0.500 0.000 (multiplicity 1)
Er: 0.463 0.500 0.304 (multiplicity 1)
Er: 0.463 0.500 0.696 (multiplicity 1)
Er: 0.650 0.000 0.116 (multiplicity 1)
Er: 0.650 0.000 0.884 (multiplicity 1)
Er: 0.875 0.500 0.500 (multiplicity 1)
Er: 0.963 0.500 0.196 (multiplicity 1)
Er: 0.963 0.500 0.804 (multiplicity 1)
Mn: 0.267 0.500 0.500 (multiplicity 1)
Mn: 0.766 0.500 0.000 (multiplicity 1)
Bi: 0.267 0.000 0.167 (multiplicity 1)
Bi: 0.267 0.000 0.833 (multiplicity 1)
Bi: 0.767 0.000 0.333 (multiplicity 1)
Bi: 0.767 0.000 0.667 (multiplicity 1)

---

No. 2
Compound: NpSi
Source: the Materials Project
Functional: GGA-PBE
Structure: relaxed

Calculated values
- total energy (Ry/atom) = -0.6876

Cell: 4.281 12.100 6.376 Å, 90.00 90.00 90.00°
Space group Cmcm (No. 63)
Symmetry-distinct sites (fractional):
Np: 0.000 0.056 0.250 (multiplicity 4)
Np: 0.000 0.228 0.750 (multiplicity 4)
Si: 0.000 0.404 0.059 (multiplicity 8)

---

No. 3
Compound: TbSnAu2
Source: the Materials Project
Functional: GGA-PBE
Structure: relaxed

Calculated values
- total energy (Ry/atom) = -0.3305

Cell: 7.068 7.068 7.068 Å, 90.00 90.00 90.00°
Space group Fm-3m (No. 225)
Symmetry-distinct sites (fractional):
Tb: 0.000 0.000 0.000 (multiplicity 4)
Sn: 0.000 0.000 0.500 (multiplicity 4)
Au: 0.250 0.250 0.250 (multiplicity 8)

---

No. 4
Compound: Mg3In
Source: the Materials Project
Functional: GGA-PBE
Structure: relaxed

Calculated values
- total energy (Ry/atom) = -0.1243

Cell: 7.9089 7.9089 24.4573 Å, 90.00 90.00 120.00°
Space group R-3m (No. 166, hexagonal axes)
Symmetry-distinct sites (fractional):
Mg: 0.0603 0.5302 0.1150 (multiplicity 18)
Mg: 0.0792 0.5396 0.6154 (multiplicity 18)
In: 0.0000 0.0000 0.1525 (multiplicity 6)
In: 0.0000 0.0000 0.2822 (multiplicity 6)

---

No. 5
Compound: CaZn4Sn4O8
Source: the Materials Project
Functional: GGA-PBE
Structure: relaxed

Calculated values
- total energy (Ry/atom) = -0.3582

Cell: 3.481 9.283 9.719 Å, 76.69 79.70 89.34°
Space group P1 (No. 1)
Symmetry-distinct sites (fractional):
Ca: 0.000 0.000 0.000 (multiplicity 1)
Zn: 0.112 0.479 0.803 (multiplicity 1)
Zn: 0.305 0.332 0.434 (multiplicity 1)
Zn: 0.726 0.693 0.549 (multiplicity 1)
Zn: 0.924 0.560 0.166 (multiplicity 1)
Sn: 0.352 0.837 0.287 (multiplicity 1)
Sn: 0.459 0.270 0.112 (multiplicity 1)
Sn: 0.581 0.792 0.844 (multiplicity 1)
Sn: 0.675 0.193 0.706 (multiplicity 1)
O: 0.005 0.393 0.013 (multiplicity 1)
O: 0.009 0.733 0.990 (multiplicity 1)
O: 0.190 0.348 0.667 (multiplicity 1)
O: 0.244 0.790 0.508 (multiplicity 1)
O: 0.396 0.444 0.229 (multiplicity 1)
O: 0.628 0.596 0.762 (multiplicity 1)
O: 0.783 0.239 0.484 (multiplicity 1)
O: 0.840 0.688 0.320 (multiplicity 1)

---

No. 6
Compound: Li2PdO3
Source: the Materials Project
Functional: GGA-PBE
Structure: relaxed

Calculated values
- ΔE to the lowest computed polymorph (meV per atom) = 0.0

Cell: 5.193 9.009 5.141 Å, 90.00 109.29 90.00°
Space group C2/m (No. 12)
Symmetry-distinct sites (fractional):
Li: 0.000 0.000 0.000 (multiplicity 2)
Li: 0.000 0.169 0.500 (multiplicity 4)
Li: 0.000 0.500 0.500 (multiplicity 2)
Pd: 0.000 0.333 0.000 (multiplicity 4)
O: 0.229 0.500 0.237 (multiplicity 4)
O: 0.249 0.174 0.234 (multiplicity 8)

---

No. 7
Compound: Sr2TaInO6
Source: the Materials Project
Functional: GGA-PBE
Structure: relaxed

Calculated values
- total energy (Ry/atom) = -0.5481

Cell: 5.789 5.816 10.033 Å, 90.00 125.11 90.00°
Space group P2_1/c (No. 14)
Symmetry-distinct sites (fractional):
Sr: 0.243 0.027 0.250 (multiplicity 4)
Ta: 0.000 0.000 0.500 (multiplicity 2)
In: 0.500 0.000 0.000 (multiplicity 2)
O: 0.163 0.225 0.962 (multiplicity 4)
O: 0.238 0.704 0.964 (multiplicity 4)
O: 0.309 0.016 0.739 (multiplicity 4)

---

No. 8
Compound: CuTe2O7
Source: the Materials Project
Functional: GGA-PBE
Structure: relaxed

Calculated values
- total energy (Ry/atom) = -0.3703

Cell: 11.163 9.543 10.626 Å, 90.00 94.37 90.00°
Space group P2/c (No. 13)
Symmetry-distinct sites (fractional):
Cu: 0.000 0.065 0.250 (multiplicity 2)
Cu: 0.304 0.437 0.910 (multiplicity 4)
Te: 0.022 0.215 0.542 (multiplicity 4)
Te: 0.334 0.288 0.207 (multiplicity 4)
Te: 0.338 0.255 0.622 (multiplicity 4)
O: 0.005 0.387 0.609 (multiplicity 4)
O: 0.017 0.216 0.131 (multiplicity 4)
O: 0.051 0.067 0.881 (multiplicity 4)
O: 0.190 0.156 0.562 (multiplicity 4)
O: 0.254 0.435 0.280 (multiplicity 4)
O: 0.305 0.289 0.032 (multiplicity 4)
O: 0.306 0.118 0.272 (multiplicity 4)
O: 0.326 0.283 0.794 (multiplicity 4)
O: 0.349 0.425 0.538 (multiplicity 4)
O: 0.450 0.130 0.583 (multiplicity 4)
O: 0.500 0.354 0.250 (multiplicity 2)

---

No. 9
Compound: SrZn13
Source: the Materials Project
Functional: GGA-PBE
Structure: relaxed

Calculated values
- total energy (Ry/atom) = -0.1073

Cell: 12.291 12.291 12.291 Å, 90.00 90.00 90.00°
Space group Fm-3c (No. 226)
Symmetry-distinct sites (fractional):
Sr: 0.250 0.250 0.250 (multiplicity 8)
Zn: 0.000 0.000 0.000 (multiplicity 8)
Zn: 0.000 0.120 0.180 (multiplicity 96)

---

No. 10
Compound: BaEuSn4O12
Source: the Materials Project
Functional: GGA-PBE
Structure: relaxed

Calculated values
- total energy (Ry/atom) = -0.4603

Cell: 8.505 8.529 8.532 Å, 90.00 90.00 90.00°
Space group Cmmm (No. 65)
Symmetry-distinct sites (fractional):
Ba: 0.000 0.000 0.000 (multiplicity 2)
Eu: 0.000 0.500 0.500 (multiplicity 2)
Sn: 0.250 0.250 0.250 (multiplicity 8)
O: 0.000 0.239 0.252 (multiplicity 8)
O: 0.234 0.500 0.253 (multiplicity 8)
O: 0.250 0.250 0.000 (multiplicity 4)
O: 0.250 0.250 0.500 (multiplicity 4)

---

No. 11
Compound: TiCr2
Source: the Materials Project
Functional: GGA-PBE
Structure: relaxed

Calculated values
- ΔE to the lowest computed polymorph (meV per atom) = 2.6

Cell: 4.8691 4.8691 15.7599 Å, 90.00 90.00 120.00°
Space group P6_3/mmc (No. 194)
Symmetry-distinct sites (fractional):
Ti: 0.0000 0.0000 0.0944 (multiplicity 4)
Ti: 0.3333 0.6667 0.1562 (multiplicity 4)
Cr: 0.0000 0.5000 0.0000 (multiplicity 6)
Cr: 0.1633 0.3265 0.7500 (multiplicity 6)
Cr: 0.3333 0.6667 0.6239 (multiplicity 4)

---

No. 12
Compound: V3As2
Source: the Materials Project
Functional: GGA-PBE
Structure: relaxed

Calculated values
- total energy (Ry/atom) = -0.5725

Cell: 9.439 9.439 3.297 Å, 90.00 90.00 90.00°
Space group P4/m (No. 83)
Symmetry-distinct sites (fractional):
V: 0.000 0.000 0.000 (multiplicity 1)
V: 0.000 0.500 0.000 (multiplicity 2)
V: 0.102 0.785 0.500 (multiplicity 4)
V: 0.322 0.368 0.000 (multiplicity 4)
V: 0.500 0.500 0.500 (multiplicity 1)
As: 0.089 0.255 0.000 (multiplicity 4)
As: 0.214 0.540 0.500 (multiplicity 4)